i) First-principles (PBE) data for Cu4P2O9 after structural relaxation, as listed in the Materials Project database.

Results
Mass density ... 4.3 g cm⁻³

CIF file:
```
data_Cu4P2O9
_chemical_formula_sum 'Cu16 P8 O36'
_symmetry_space_group_name_H-M 'P n m a'
_symmetry_Int_Tables_number 62
_cell_length_a 8.1551
_cell_length_b 6.3810
_cell_length_c 13.6342
_cell_angle_alpha 90.00
_cell_angle_beta 90.00
_cell_angle_gamma 90.00
loop_
_symmetry_equiv_pos_as_xyz
'x,y,z'
'-x,-y,-z'
'-x+1/2,-y,z+1/2'
'x+1/2,y,-z+1/2'
'x+1/2,-y+1/2,-z+1/2'
'-x+1/2,y+1/2,z+1/2'
'-x,y+1/2,-z'
'x,-y+1/2,z'
loop_
_atom_site_label
_atom_site_type_symbol
_atom_site_fract_x
_atom_site_fract_y
_atom_site_fract_z
_atom_site_occupancy
Cu1 Cu 0.0628 0.2500 0.0879 1
Cu2 Cu 0.1449 0.7500 0.4479 1
Cu3 Cu 0.1473 0.0072 0.6571 1
P1 P 0.0032 0.7500 0.1568 1
P2 P 0.1499 0.2500 0.4152 1
O1 O 0.0854 0.0474 0.3626 1
O2 O 0.0901 0.2500 0.5244 1
O3 O 0.0973 0.2500 0.7445 1
O4 O 0.1121 0.5504 0.1512 1
O5 O 0.1184 0.2500 0.9303 1
O6 O 0.1654 0.7500 0.9102 1
O7 O 0.2021 0.7500 0.5938 1
```

---

ii) First-principles (PBE) data for Cu4P2O9 after structural relaxation, as listed in the Materials Project database.

Results
Mass density ... 4.4 g cm⁻³

CIF file:
```
data_Cu4P2O9
_chemical_formula_sum 'Cu8 P4 O18'
_symmetry_space_group_name_H-M 'P -1'
_symmetry_Int_Tables_number 2
_cell_length_a 6.2959
_cell_length_b 7.6337
_cell_length_c 8.0922
_cell_angle_alpha 99.17
_cell_angle_beta 111.87
_cell_angle_gamma 98.19
loop_
_symmetry_equiv_pos_as_xyz
'x,y,z'
'-x,-y,-z'
loop_
_atom_site_label
_atom_site_type_symbol
_atom_site_fract_x
_atom_site_fract_y
_atom_site_fract_z
_atom_site_occupancy
Cu1 Cu 0.0954 0.3731 0.2391 1
Cu2 Cu 0.1527 0.8817 0.5878 1
Cu3 Cu 0.3471 0.8287 0.0635 1
Cu4 Cu 0.3834 0.6042 0.7556 1
P1 P 0.1295 0.2358 0.8490 1
P2 P 0.5000 0.2850 0.5802 1
O1 O 0.0141 0.0837 0.6684 1
O2 O 0.0223 0.7742 0.0368 1
O3 O 0.1558 0.4270 0.8098 1
O4 O 0.2027 0.7759 0.7993 1
O5 O 0.2483 0.2941 0.4658 1
O6 O 0.3501 0.7202 0.5351 1
O7 O 0.3687 0.1996 0.9742 1
O8 O 0.3828 0.5337 0.2608 1
O9 O 0.4955 0.8765 0.3262 1
```

---

Most favorable first, least favorable last: i), ii)